r2SCAN TbZnSi, relaxed; crystal system = hexagonal
1.0
1.7589 0.2980 3.6756
-4.0380 0.4943 -0.3785
-0.5442 -3.9984 0.5846
Tb Zn Si
1 1 1
Direct
0.6667 0.3333 0.0000 Tb
0.0000 0.0000 0.5000 Zn
0.3333 0.6667 0.5000 Si


r2SCAN Th5C, relaxed; crystal system = trigonal
1.0
-6.3344 -9.0500 10.3507
-5.4428 -11.6412 8.0014
-3.0399 -10.5213 10.4511
Th C
5 1
Direct
0.6021 0.6021 0.6021 Th
0.0000 0.0000 0.0000 Th
0.3979 0.3979 0.3979 Th
0.2002 0.2002 0.2002 Th
0.7998 0.7998 0.7998 Th
0.5000 0.5000 0.5000 C


Number 1: total energy -17.0316 eV/atom, calculated formation energy -728 meV/atom. Number 2: total energy -63.0243 eV/atom, calculated formation energy -137 meV/atom.